{
  "formula": "ErCdIn",
  "functional": "r²SCAN",
  "state": "relaxed",
  "density_g_cm3": 8.881,
  "space_group": "P-3m1, No. 164",
  "e_tot_ev_per_fu": -78.0,
  "vol_a3_per_cell": 147.52,
  "formation_enthalpy_0k_ev_per_atom": -0.461,
  "lattice_angstrom": [[4.8039, 0.0000, 0.0000], [-2.4020, 4.1603, 0.0000], [0.0000, 0.0000, 7.3812]],
  "species": ["Er", "Er", "Cd", "Cd", "In", "In"],
  "fractional_positions": [[0.0000, 0.0000, 0.2363], [0.0000, 0.0000, 0.7637], [0.3333, 0.6667, 0.9707], [0.6667, 0.3333, 0.0293], [0.3333, 0.6667, 0.5558], [0.6667, 0.3333, 0.4442]]
}